# Na3AlInP3O12 (PBE, optimized geometry)
data_Na3AlInP3O12
_chemical_formula_sum 'Na12 Al4 In4 P12 O48'
_space_group_name_H-M_alt 'P 1'
_space_group_IT_number 1
_cell_length_a 8.856
_cell_length_b 8.861
_cell_length_c 12.617
_cell_angle_alpha 90.32
_cell_angle_beta 90.03
_cell_angle_gamma 90.19
loop_
_space_group_symop_operation_xyz
'x,y,z'
loop_
_atom_site_label
_atom_site_type_symbol
_atom_site_fract_x
_atom_site_fract_y
_atom_site_fract_z
Na1 Na 0.000 0.000 0.000
Na2 Na 0.027 0.347 0.312
Na3 Na 0.166 0.844 0.315
Na4 Na 0.199 0.508 0.001
Na5 Na 0.330 0.501 0.739
Na6 Na 0.376 0.496 0.246
Na7 Na 0.487 0.505 0.502
Na8 Na 0.537 0.838 0.808
Na9 Na 0.667 0.353 0.801
Na10 Na 0.715 0.007 0.498
Na11 Na 0.828 0.997 0.248
Na12 Na 0.876 0.999 0.739
Al1 Al 0.350 0.206 0.397
Al2 Al 0.848 0.707 0.397
Al3 Al 0.849 0.705 0.893
Al4 Al 0.854 0.301 0.598
In1 In 0.339 0.803 0.600
In2 In 0.351 0.208 0.894
In3 In 0.358 0.802 0.102
In4 In 0.842 0.298 0.099
P1 P 0.049 0.009 0.498
P2 P 0.135 0.497 0.496
P3 P 0.192 0.841 0.852
P4 P 0.209 0.161 0.157
P5 P 0.500 0.159 0.641
P6 P 0.503 0.853 0.356
P7 P 0.554 0.507 0.994
P8 P 0.661 0.995 0.991
P9 P 0.698 0.358 0.361
P10 P 0.716 0.649 0.644
P11 P 0.987 0.658 0.151
P12 P 0.991 0.355 0.846
O1 O 0.019 0.823 0.847
O2 O 0.029 0.392 0.556
O3 O 0.034 0.175 0.169
O4 O 0.041 0.608 0.426
O5 O 0.133 0.907 0.575
O6 O 0.160 0.101 0.428
O7 O 0.162 0.674 0.163
O8 O 0.166 0.359 0.842
O9 O 0.224 0.013 0.855
O10 O 0.235 0.989 0.155
O11 O 0.238 0.403 0.419
O12 O 0.244 0.578 0.574
O13 O 0.253 0.765 0.953
O14 O 0.263 0.239 0.054
O15 O 0.276 0.762 0.760
O16 O 0.284 0.239 0.254
O17 O 0.429 0.770 0.262
O18 O 0.431 0.251 0.732
O19 O 0.432 0.214 0.536
O20 O 0.442 0.765 0.454
O21 O 0.443 0.580 0.074
O22 O 0.457 0.021 0.364
O23 O 0.457 0.431 0.905
O24 O 0.478 0.986 0.655
O25 O 0.523 0.344 0.356
O26 O 0.540 0.660 0.654
O27 O 0.561 0.892 0.057
O28 O 0.569 0.103 0.921
O29 O 0.637 0.384 0.055
O30 O 0.660 0.618 0.935
O31 O 0.676 0.181 0.647
O32 O 0.678 0.842 0.354
O33 O 0.740 0.529 0.362
O34 O 0.751 0.478 0.642
O35 O 0.759 0.286 0.464
O36 O 0.759 0.902 0.911
O37 O 0.771 0.071 0.071
O38 O 0.772 0.271 0.268
O39 O 0.775 0.725 0.541
O40 O 0.780 0.731 0.743
O41 O 0.915 0.738 0.249
O42 O 0.921 0.280 0.746
O43 O 0.930 0.722 0.045
O44 O 0.936 0.519 0.862
O45 O 0.938 0.104 0.567
O46 O 0.939 0.259 0.942
O47 O 0.952 0.911 0.418
O48 O 0.963 0.485 0.156
# **Formation energy**: -2.69 eV/atom